# 1
A geometry-optimized Na2FeO3 structure, computed with r2SCAN.

The space group is Cc. The volume comes out at 10.71 Å³/atom. For the offset from the most stable computed form, the calculation gives 15 meV/atom. The magnetization comes out at 0.6667 μB per atom.

Geometry as POSCAR:
```
Na2FeO3
1.0
3.141 -4.681 0.000
3.141 4.681 0.000
-3.139 0.000 8.743
Na Fe O
8 4 12
Cartesian
-0.006 1.167 2.869
1.571 3.608 4.371
-1.576 -1.167 7.240
3.126 1.172 3.160
3.135 1.266 6.031
1.556 -1.172 7.532
3.141 -3.608 0.000
4.705 -1.266 1.659
0.049 1.085 5.899
3.190 1.258 0.134
1.619 -1.085 1.528
1.621 -1.258 4.505
-1.176 1.172 7.388
3.354 3.318 0.323
1.785 0.977 1.338
1.328 1.306 4.707
0.394 -1.172 3.017
0.215 -0.977 5.710
1.253 1.171 7.388
2.897 -1.306 0.335
4.469 1.036 1.327
2.822 -1.171 3.017
2.899 -1.036 5.698
1.784 -3.318 4.695
```

---

# 2
A geometry-optimized AlReSi structure, computed with r2SCAN.

The space group is I4mm. The volume comes out at 13.47 Å³/atom. The magnetization comes out at 0.0000 μB per atom. Its total energy is -23.17 eV/atom.

Geometry as POSCAR:
```
AlReSi
1.0
-1.587 1.587 4.010
1.587 -1.587 4.010
1.587 1.587 -4.010
Al Re Si
1 1 1
Cartesian
0.000 0.000 0.000
0.000 0.000 2.614
0.000 0.000 5.406
```

---

# 3
A geometry-optimized P2WO8 structure, computed with r2SCAN.

The space group is C2/m. The volume comes out at 12.64 Å³/atom. The magnetization comes out at 0.0000 μB per atom. Its total energy is -12.92 eV/atom.

Geometry as POSCAR:
```
P2WO8
1.0
7.997 -2.579 0.000
7.997 2.579 0.000
-1.442 0.000 6.745
P W O
4 2 16
Cartesian
2.449 0.000 0.787
1.852 0.000 3.702
12.700 0.000 3.043
12.102 0.000 5.958
6.024 0.000 1.362
8.527 0.000 5.382
4.631 1.356 6.710
5.584 1.368 2.631
1.658 0.000 2.129
3.918 0.000 0.959
3.225 0.000 4.190
8.967 1.368 4.114
9.920 1.356 0.035
6.854 0.000 5.086
7.697 0.000 1.659
4.631 -1.356 6.710
5.584 -1.368 2.631
11.326 0.000 2.555
10.633 0.000 5.786
12.893 0.000 4.616
8.967 -1.368 4.114
9.920 -1.356 0.035
```

---

# 4
A geometry-optimized Ba6Nd3TiCu6Mo2O24 structure, computed with r2SCAN.

The space group is C2/m. The volume comes out at 13.28 Å³/atom. The magnetization comes out at 0.0178 μB per atom. Its total energy is -14.87 eV/atom.

Geometry as POSCAR:
```
Ba6Nd3TiCu6Mo2O24
1.0
8.358 -2.786 0.000
8.358 2.786 0.000
-5.570 0.000 11.977
Ba Nd Ti Cu Mo O
6 3 1 6 2 24
Cartesian
0.000 0.000 2.317
0.028 0.000 9.660
5.600 0.000 2.317
5.546 0.000 9.660
11.118 0.000 2.317
11.146 0.000 9.660
0.001 0.000 5.988
5.573 0.000 5.989
11.145 0.000 5.989
8.358 0.000 0.000
-2.786 0.000 7.617
2.790 0.000 4.358
2.785 0.000 7.671
8.361 0.000 4.307
8.357 0.000 7.619
13.932 0.000 4.360
2.749 0.000 0.000
8.397 0.000 11.977
4.179 1.393 0.000
1.391 1.394 7.517
-2.732 0.000 10.091
4.179 1.393 4.476
1.363 1.424 11.977
4.180 1.394 7.520
2.839 0.000 1.886
6.966 1.394 4.458
9.783 1.424 0.000
6.967 1.393 7.501
2.787 0.000 10.078
9.755 1.394 4.461
4.179 -1.393 0.000
1.391 -1.394 7.517
8.359 0.000 1.899
4.179 -1.393 4.476
1.363 -1.424 11.977
4.180 -1.394 7.520
8.308 0.000 10.091
6.966 -1.394 4.458
9.783 -1.424 0.000
6.967 -1.393 7.501
13.878 0.000 1.886
9.755 -1.394 4.461
```

---

magnetization of number 3 (P2WO8)?
0.0000 μB per atom